No. 1
{
  "formula": "Li2SnP2O7",
  "functional": "GGA-PBE",
  "state": "optimized geometry",
  "e_tot_ev_per_atom": -6.60,
  "ef_ev_per_atom": -2.56,
  "polymorph_energy_mev_per_atom": 0,
  "mass_density_g_cm3": 3.32,
  "spacegroup": "No. 15",
  "lattice": [[3.6631, -6.3490, 0.0000], [3.6631, 6.3490, 0.0000], [-0.1612, 0.0000, 13.1716]],
  "species": ["Li", "Li", "Li", "Li", "Li", "Li", "Li", "Li", "Sn", "Sn", "Sn", "Sn", "P", "P", "P", "P", "P", "P", "P", "P", "O", "O", "O", "O", "O", "O", "O", "O", "O", "O", "O", "O", "O", "O", "O", "O", "O", "O", "O", "O", "O", "O", "O", "O", "O", "O", "O", "O"],
  "frac_coords": [[0.2152, 0.7532, 0.4946], [0.2187, 0.7813, 0.7500], [0.2390, 0.7610, 0.2500], [0.2468, 0.7848, 0.0054], [0.7532, 0.2152, 0.9946], [0.7610, 0.2390, 0.7500], [0.7813, 0.2187, 0.2500], [0.7848, 0.2468, 0.5054], [0.1573, 0.1673, 0.6211], [0.1673, 0.1573, 0.1211], [0.8327, 0.8427, 0.8789], [0.8427, 0.8327, 0.3789], [0.1545, 0.3956, 0.8559], [0.2072, 0.4176, 0.3855], [0.3956, 0.1545, 0.3559], [0.4176, 0.2072, 0.8855], [0.5824, 0.7928, 0.1145], [0.6044, 0.8455, 0.6441], [0.7928, 0.5824, 0.6145], [0.8455, 0.6044, 0.1441], [0.0064, 0.7907, 0.0790], [0.0522, 0.2715, 0.3047], [0.0901, 0.3421, 0.7421], [0.1137, 0.3560, 0.4936], [0.1845, 0.6099, 0.8821], [0.2093, 0.9936, 0.4210], [0.2715, 0.0522, 0.8047], [0.2992, 0.6526, 0.3710], [0.3421, 0.0901, 0.2421], [0.3474, 0.7008, 0.1290], [0.3560, 0.1137, 0.9936], [0.3816, 0.4122, 0.8776], [0.3901, 0.8155, 0.6179], [0.4122, 0.3816, 0.3776], [0.5878, 0.6184, 0.6224], [0.6099, 0.1845, 0.3821], [0.6184, 0.5878, 0.1224], [0.6440, 0.8863, 0.0064], [0.6526, 0.2992, 0.8710], [0.6579, 0.9099, 0.7579], [0.7008, 0.3474, 0.6290], [0.7285, 0.9478, 0.1953], [0.7907, 0.0064, 0.5790], [0.8155, 0.3901, 0.1179], [0.8863, 0.6440, 0.5064], [0.9099, 0.6579, 0.2579], [0.9478, 0.7285, 0.6953], [0.9936, 0.2093, 0.9210]]
}


No. 2
{
  "formula": "BaSe2O6",
  "functional": "GGA-PBE",
  "state": "optimized geometry",
  "e_tot_ev_per_atom": -5.06,
  "ef_ev_per_atom": -0.88,
  "polymorph_energy_mev_per_atom": 0,
  "mass_density_g_cm3": 4.20,
  "spacegroup": "No. 2",
  "lattice": [[5.3043, 0.0000, 0.0000], [-1.7381, 7.7394, 0.0000], [-0.2296, -4.0483, 7.5300]],
  "species": ["Ba", "Ba", "Se", "Se", "Se", "Se", "O", "O", "O", "O", "O", "O", "O", "O", "O", "O", "O", "O"],
  "frac_coords": [[0.1898, 0.2495, 0.3369], [0.8102, 0.7505, 0.6631], [0.2379, 0.4907, 0.0065], [0.3402, 0.7861, 0.3486], [0.6598, 0.2139, 0.6514], [0.7621, 0.5093, 0.9935], [0.1125, 0.8998, 0.3375], [0.2361, 0.5729, 0.8267], [0.2367, 0.6777, 0.4772], [0.2560, 0.0342, 0.9420], [0.4034, 0.4938, 0.7001], [0.4461, 0.0277, 0.8504], [0.5539, 0.9723, 0.1496], [0.5966, 0.5062, 0.2999], [0.7440, 0.9658, 0.0580], [0.7633, 0.3223, 0.5228], [0.7639, 0.4271, 0.1733], [0.8875, 0.1002, 0.6625]]
}


No. 3
{
  "formula": "Cd2Sb5O2F31",
  "functional": "GGA-PBE",
  "state": "optimized geometry",
  "e_tot_ev_per_atom": -4.18,
  "ef_ev_per_atom": -2.28,
  "mass_density_g_cm3": 3.82,
  "spacegroup": "No. 14",
  "lattice": [[10.7438, 0.0000, 0.0000], [0.0000, 11.6965, 0.0000], [-3.1932, 0.0000, 10.0683]],
  "species": ["Cd", "Cd", "Cd", "Cd", "Sb", "Sb", "Sb", "Sb", "Sb", "Sb", "Sb", "Sb", "Sb", "Sb", "O", "O", "O", "O", "F", "F", "F", "F", "F", "F", "F", "F", "F", "F", "F", "F", "F", "F", "F", "F", "F", "F", "F", "F", "F", "F", "F", "F", "F", "F", "F", "F", "F", "F", "F", "F", "F", "F", "F", "F", "F", "F", "F", "F", "F", "F", "F", "F", "F", "F", "F", "F", "F", "F", "F", "F", "F", "F", "F", "F", "F", "F", "F", "F", "F", "F"],
  "frac_coords": [[0.0222, 0.1443, 0.1419], [0.0222, 0.3557, 0.6419], [0.9778, 0.6443, 0.3581], [0.9778, 0.8557, 0.8581], [0.0000, 0.0000, 0.5000], [0.0000, 0.5000, 0.0000], [0.2581, 0.6675, 0.7433], [0.2581, 0.8325, 0.2433], [0.3032, 0.1854, 0.9500], [0.3032, 0.3146, 0.4500], [0.6968, 0.6854, 0.5500], [0.6968, 0.8146, 0.0500], [0.7419, 0.1675, 0.7567], [0.7419, 0.3325, 0.2567], [0.4441, 0.5011, 0.1751], [0.4441, 0.9989, 0.6751], [0.5559, 0.0011, 0.3249], [0.5559, 0.4989, 0.8249], [0.0000, 0.0000, 0.0000], [0.0000, 0.5000, 0.5000], [0.0187, 0.5480, 0.1804], [0.0187, 0.9520, 0.6804], [0.0299, 0.1557, 0.5575], [0.0299, 0.3443, 0.0575], [0.1081, 0.7303, 0.7835], [0.1081, 0.7697, 0.2835], [0.1499, 0.2433, 0.3269], [0.1499, 0.2567, 0.8269], [0.1651, 0.6793, 0.5558], [0.1651, 0.8207, 0.0558], [0.1822, 0.5198, 0.0337], [0.1822, 0.9802, 0.5337], [0.1860, 0.5173, 0.7415], [0.1860, 0.9827, 0.2415], [0.2039, 0.1790, 0.0763], [0.2039, 0.3210, 0.5763], [0.2345, 0.0397, 0.8848], [0.2345, 0.4603, 0.3848], [0.3222, 0.6829, 0.2345], [0.3222, 0.8171, 0.7345], [0.3497, 0.6536, 0.9262], [0.3497, 0.8464, 0.4262], [0.3591, 0.1624, 0.5101], [0.3591, 0.3376, 0.0101], [0.3902, 0.1971, 0.8179], [0.3902, 0.3029, 0.3179], [0.4035, 0.5941, 0.6975], [0.4035, 0.9059, 0.1975], [0.4471, 0.1196, 0.0810], [0.4471, 0.3804, 0.5810], [0.5529, 0.6196, 0.4190], [0.5529, 0.8804, 0.9190], [0.5965, 0.0941, 0.8025], [0.5965, 0.4059, 0.3025], [0.6098, 0.6971, 0.6821], [0.6098, 0.8029, 0.1821], [0.6409, 0.6624, 0.9899], [0.6409, 0.8376, 0.4899], [0.6503, 0.1536, 0.5738], [0.6503, 0.3464, 0.0738], [0.6778, 0.1829, 0.2655], [0.6778, 0.3171, 0.7655], [0.7655, 0.5397, 0.6152], [0.7655, 0.9603, 0.1152], [0.7961, 0.6790, 0.4237], [0.7961, 0.8210, 0.9237], [0.8140, 0.0173, 0.7585], [0.8140, 0.4827, 0.2585], [0.8178, 0.0198, 0.4663], [0.8178, 0.4802, 0.9663], [0.8349, 0.1793, 0.9442], [0.8349, 0.3207, 0.4442], [0.8501, 0.7433, 0.1731], [0.8501, 0.7567, 0.6731], [0.8919, 0.2303, 0.7165], [0.8919, 0.2697, 0.2165], [0.9701, 0.6557, 0.9425], [0.9701, 0.8443, 0.4425], [0.9813, 0.0480, 0.3196], [0.9813, 0.4520, 0.8196]]
}


No. 4
{
  "formula": "MgBi4O8",
  "functional": "GGA-PBE",
  "state": "optimized geometry",
  "e_tot_ev_per_atom": -5.59,
  "ef_ev_per_atom": -1.65,
  "polymorph_energy_mev_per_atom": 86,
  "mass_density_g_cm3": 6.70,
  "spacegroup": "No. 8",
  "lattice": [[8.5812, -1.6971, 0.0000], [8.5812, 1.6971, 0.0000], [-5.7160, 0.0000, 8.4102]],
  "species": ["Mg", "Bi", "Bi", "Bi", "Bi", "O", "O", "O", "O", "O", "O", "O", "O"],
  "frac_coords": [[0.0000, 0.0000, 0.0000], [0.0533, 0.0533, 0.7291], [0.3440, 0.3440, 0.6610], [0.5536, 0.5536, 0.3712], [0.8235, 0.8235, 0.0248], [0.1514, 0.1514, 0.4440], [0.2259, 0.2259, 0.9526], [0.5032, 0.5032, 0.8616], [0.5072, 0.5072, 0.1283], [0.5718, 0.5718, 0.6029], [0.8561, 0.8561, 0.8414], [0.8966, 0.8966, 0.5809], [0.9563, 0.9563, 0.3109]]
}


No. 5
{
  "formula": "ZnGa2S4",
  "functional": "GGA-PBE",
  "state": "optimized geometry",
  "e_tot_ev_per_atom": -4.05,
  "ef_ev_per_atom": -0.92,
  "mass_density_g_cm3": 3.72,
  "spacegroup": "No. 166",
  "lattice": [[1.8600, 1.0739, 12.4240], [-1.8600, 1.0739, 12.4240], [0.0000, -2.1477, 12.4240]],
  "species": ["Zn", "Ga", "Ga", "S", "S", "S", "S"],
  "frac_coords": [[0.0000, 0.0000, 0.0000], [0.2387, 0.2387, 0.2387], [0.7613, 0.7613, 0.7613], [0.1207, 0.1207, 0.1207], [0.2992, 0.2992, 0.2992], [0.7008, 0.7008, 0.7008], [0.8793, 0.8793, 0.8793]]
}


No. 6
{
  "formula": "CeSnIr",
  "functional": "GGA-PBE",
  "state": "optimized geometry",
  "e_tot_ev_per_atom": -7.11,
  "ef_ev_per_atom": -0.85,
  "mass_density_g_cm3": 11.30,
  "spacegroup": "No. 189",
  "lattice": [[7.4975, 0.0000, 0.0000], [-3.7488, 6.4931, 0.0000], [0.0000, 0.0000, 4.0844]],
  "species": ["Ce", "Ce", "Ce", "Sn", "Sn", "Sn", "Ir", "Ir", "Ir"],
  "frac_coords": [[0.0000, 0.5870, 0.0000], [0.4130, 0.4130, 0.0000], [0.5870, 0.0000, 0.0000], [0.0000, 0.2533, 0.5000], [0.2533, 0.0000, 0.5000], [0.7467, 0.7467, 0.5000], [0.0000, 0.0000, 0.0000], [0.3333, 0.6667, 0.5000], [0.6667, 0.3333, 0.5000]]
}


No. 7
{
  "formula": "Pr2AlZn",
  "functional": "GGA-PBE",
  "state": "optimized geometry",
  "e_tot_ev_per_atom": -3.97,
  "ef_ev_per_atom": -0.33,
  "mass_density_g_cm3": 5.96,
  "spacegroup": "No. 123",
  "lattice": [[3.7045, 0.0000, 0.0000], [0.0000, 3.7045, 0.0000], [0.0000, 0.0000, 7.6000]],
  "species": ["Pr", "Pr", "Al", "Zn"],
  "frac_coords": [[0.0000, 0.0000, 0.2459], [0.0000, 0.0000, 0.7541], [0.5000, 0.5000, 0.5000], [0.5000, 0.5000, 0.0000]]
}


No. 8
{
  "formula": "CdI3N2",
  "functional": "GGA-PBE",
  "state": "optimized geometry",
  "e_tot_ev_per_atom": -2.67,
  "ef_ev_per_atom": 0.90,
  "mass_density_g_cm3": 4.03,
  "spacegroup": "No. 26",
  "lattice": [[8.4125, 0.0000, 0.0000], [0.0000, 7.4855, 0.0000], [0.0000, 0.0000, 13.6480]],
  "species": ["Cd", "Cd", "Cd", "Cd", "I", "I", "I", "I", "I", "I", "I", "I", "I", "I", "I", "I", "N", "N", "N", "N", "N", "N", "N", "N"],
  "frac_coords": [[0.0000, 0.0399, 0.0000], [0.0000, 0.9601, 0.5000], [0.5000, 0.2171, 0.9562], [0.5000, 0.7829, 0.4562], [0.0000, 0.3043, 0.1412], [0.0000, 0.3688, 0.4584], [0.0000, 0.6312, 0.9584], [0.0000, 0.6957, 0.6412], [0.2273, 0.2277, 0.8466], [0.2273, 0.7723, 0.3466], [0.5000, 0.1018, 0.1454], [0.5000, 0.2823, 0.4024], [0.5000, 0.7177, 0.9024], [0.5000, 0.8982, 0.6454], [0.7727, 0.2277, 0.8466], [0.7727, 0.7723, 0.3466], [0.1746, 0.2123, 0.4779], [0.1746, 0.7877, 0.9779], [0.3271, 0.3131, 0.2991], [0.3271, 0.6869, 0.7991], [0.6729, 0.3131, 0.2991], [0.6729, 0.6869, 0.7991], [0.8254, 0.2123, 0.4779], [0.8254, 0.7877, 0.9779]]
}